VASP calculation (PBE with a Hubbard U) on a geometry-optimized Li3V3P8O29 structure.

Lattice parameters (Å, degrees): 9.7605 9.7773 14.3887 90.37 89.98 119.80
With the nearest neighbours (Å) after each atom.
Element x y z (fractional)
Li1 0.9212 0.6967 0.4493  2 O 1.88-1.92
Li2 0.0767 0.7850 0.0471  2 O 1.84-1.88
Li3 0.2197 0.3009 0.0536  2 O 1.85-1.91
Li4 0.6585 0.3218 0.6076  1 O 1.94
Li5 0.0115 0.0642 0.5212  3 O 1.87-2.03
Li6 0.7019 0.9189 0.0519  2 O 1.85-1.91
O1 0.6186 0.5221 0.1793  1 P 1.56
O2 0.9180 0.2633 0.6669  1 P 1.57
O3 0.2589 0.3468 0.3266  1 P 1.56
O4 0.4761 0.6602 0.6747  1 P 1.58
O5 0.3821 0.9174 0.3289  1 P 1.58
O6 0.9923 0.7871 0.7492  2 P 1.61-1.62
O7 0.0150 0.2220 0.4291  1 P 1.47
O8 0.4802 0.8176 0.1793  1 P 1.57
O9 0.0090 0.7678 0.9259  1 P 1.48
O10 0.6560 0.9123 0.3325  1 P 1.55
O11 0.3495 0.0829 0.6650  1 P 1.57
O12 0.7333 0.6508 0.6666  1 P 1.56
O13 0.6596 0.7460 0.8287  1 P 1.57
O14 0.4753 0.0931 0.1832  1 P 1.56
O15 0.3805 0.4749 0.8186  1 P 1.55
O16 0.7866 0.7824 0.4227  1 P 1.48
O17 0.5255 0.9070 0.8172  1 P 1.55
O18 0.2326 0.9927 0.0779  1 P 1.48
O19 0.9921 0.2012 0.2534  2 P 1.61
O20 0.1816 0.5201 0.6745  1 P 1.58
O21 0.2379 0.2495 0.9323  1 P 1.48
O22 0.4696 0.3741 0.6655  1 P 1.55
O23 0.6718 0.3427 0.4731  1 P 1.49
O24 0.9163 0.6575 0.1620  1 P 1.56
O25 0.2550 0.9155 0.8279  1 P 1.56
O26 0.0039 0.2355 0.0786  1 P 1.48
O27 0.6722 0.1890 0.3279  1 P 1.58
O28 0.8204 0.3444 0.8210  1 P 1.58
O29 0.3402 0.5199 0.1753  1 P 1.57
O30 0.8169 0.4896 0.3298  1 P 1.57
O31 0.6259 0.0926 0.6630  1 P 1.55
O32 0.8112 0.0080 0.5801  1 P 1.48
O33 0.6661 0.3353 0.9669  1 P 1.48
O34 0.0821 0.4650 0.3271  1 P 1.57
O35 0.2063 0.9903 0.4297  1 P 1.47
O36 0.0859 0.3389 0.8298  1 P 1.56
O37 0.3403 0.2552 0.1638  1 P 1.55
O38 0.5275 0.1811 0.8175  1 P 1.58
O39 0.3361 0.8146 0.6744  1 P 1.58
O40 0.0950 0.6192 0.8177  1 P 1.54
O41 0.7520 0.9887 0.9311  1 P 1.48
O42 0.2063 0.0020 0.2523  2 P 1.61-1.62
O43 0.7613 0.7632 0.0742  1 P 1.48
O44 0.6542 0.4735 0.8185  1 P 1.58
O45 0.5341 0.6171 0.3269  1 P 1.57
O46 0.2025 0.1965 0.5822  1 P 1.47
O47 0.5194 0.3323 0.3263  1 P 1.58
O48 0.3292 0.6633 0.5271  1 P 1.48
O49 0.7404 0.0809 0.1636  1 P 1.55
O50 0.8942 0.5172 0.6691  1 P 1.55
O51 0.3274 0.6683 0.0334  1 P 1.48
O52 0.7943 0.7927 0.2481  2 P 1.61-1.62
O53 0.1824 0.6602 0.1812  1 P 1.60
O54 0.9017 0.3786 0.1811  1 P 1.57
O55 0.0826 0.7414 0.3335  1 P 1.57
O56 0.2153 0.1986 0.7579  2 P 1.60-1.63
O57 0.8005 0.0132 0.7564  2 P 1.60-1.63
O58 0.9815 0.7665 0.5723  1 P 1.49
P1 0.2320 0.3150 0.8409  4 O 1.48-1.60
P2 0.3143 0.0849 0.1621  4 O 1.48-1.62
P3 0.3360 0.6668 0.1362  4 O 1.48-1.60
P4 0.6938 0.7760 0.3400  4 O 1.48-1.61
P5 0.6851 0.9166 0.8395  4 O 1.48-1.60
P6 0.3088 0.2192 0.6608  4 O 1.47-1.63
P7 0.9101 0.2243 0.1620  4 O 1.48-1.61
P8 0.2208 0.9163 0.3438  4 O 1.47-1.61
P9 0.3306 0.6637 0.6298  4 O 1.48-1.58
P10 0.7818 0.0871 0.6594  4 O 1.48-1.63
P11 0.6706 0.3375 0.3697  4 O 1.49-1.58
P12 0.7702 0.6820 0.1585  4 O 1.48-1.62
P13 0.0846 0.3072 0.3425  4 O 1.47-1.61
P14 0.9053 0.6799 0.6589  4 O 1.49-1.62
P15 0.6665 0.3334 0.8642  4 O 1.48-1.58
P16 0.0852 0.7697 0.8366  4 O 1.48-1.61
V1 0.5667 0.5727 0.7497  6 O 1.85-2.07
V2 0.4385 0.4342 0.2548  6 O 1.84-2.00
V3 0.4263 0.9939 0.7479  5 O 1.85-1.87
V4 0.0011 0.5620 0.2511  6 O 1.84-2.00
V5 0.0040 0.4286 0.7502  6 O 1.84-2.05
V6 0.5634 0.0015 0.2578  6 O 1.85-2.03

Values from the calculation:
* energy relative to the elements: -2.518 eV per atom
* offset from the most stable computed form: 14.5 meV/atom
* corrected total energy (MP2020 scheme): -7.629 eV/atom